Computed, not measured: a relaxed structure of LiHfS2 at the PBE level of DFT.

Cell: 6.855 6.855 6.855 Å, 29.98 29.98 29.98°
Atoms (fractional coordinates):
Li 0.000 0.000 0.000
Hf 0.170 0.170 0.170
S 0.583 0.583 0.583
S 0.757 0.757 0.757

* crystal system: trigonal
* corrected total energy (MP2020 scheme): -27.0 eV/f.u.
* ΔH_f (0 K): -1721 meV/atom
* space group: R3m (160)